# 1
! BiS | the Materials Project database | GGA-PBE | relaxed; values from VASP
&SYSTEM
  ibrav = 0, nat = 20, ntyp = 2
/
ATOMIC_SPECIES
Bi 208.98 Bi.upf
S 32.06 S.upf
ATOMIC_POSITIONS angstrom
Bi 2.684 -7.516 1.525
Bi 2.684 7.516 1.525
Bi 2.724 -4.423 10.648
Bi 2.740 7.484 7.622
Bi 2.724 4.423 4.596
Bi 2.724 -4.423 4.596
Bi 2.724 4.423 10.648
Bi 2.684 7.516 13.718
Bi 2.740 -7.484 7.622
Bi 2.684 -7.516 13.718
S 2.711 4.671 7.622
S 2.683 -4.727 13.372
S 2.683 4.727 1.872
S 2.755 -7.188 10.435
S 2.683 -4.727 1.872
S 2.755 7.188 10.435
S 2.683 4.727 13.372
S 2.711 -4.671 7.622
S 2.755 7.188 4.809
S 2.755 -7.188 4.809
CELL_PARAMETERS angstrom
2.827 -11.897 0.000
2.827 11.897 0.000
0.000 0.000 15.244
! final energy: -4.07 eV/atom
! energy of formation from the pure elements: -0.31 eV per atom
! total moment: 0.06 μB per formula unit

=====

# 2
! BiS | the Materials Project database | GGA-PBE | relaxed; values from VASP
&SYSTEM
  ibrav = 0, nat = 24, ntyp = 2
/
ATOMIC_SPECIES
Bi 208.98 Bi.upf
S 32.06 S.upf
ATOMIC_POSITIONS angstrom
Bi 2.977 7.406 10.500
Bi 2.977 15.976 25.553
Bi 2.890 15.986 16.506
Bi 2.977 7.406 25.553
Bi 2.890 15.986 19.547
Bi 2.890 7.395 19.546
Bi 2.932 4.289 22.587
Bi 2.932 19.093 13.465
Bi 2.932 4.289 13.465
Bi 2.977 15.976 10.500
Bi 2.932 19.092 22.587
Bi 2.890 7.395 16.506
S 2.889 4.592 16.182
S 2.889 18.789 16.182
S 2.944 7.073 22.804
S 2.981 16.282 28.467
S 2.944 16.308 13.249
S 0.142 4.591 7.586
S 2.944 7.073 13.249
S 0.142 7.100 10.441
S 2.889 4.592 19.871
S 2.944 16.308 22.804
S 2.981 18.790 25.612
S 2.889 18.789 19.871
CELL_PARAMETERS angstrom
0.000 11.691 18.026
2.839 0.000 18.026
2.839 11.691 0.000
! final energy: -4.07 eV/atom
! energy of formation from the pure elements: -0.31 eV per atom
! total moment: 0.00 μB per formula unit

=====

# 3
! BiS | the Materials Project database | GGA-PBE | relaxed; values from VASP
&SYSTEM
  ibrav = 0, nat = 4, ntyp = 2
/
ATOMIC_SPECIES
Bi 208.98 Bi.upf
S 32.06 S.upf
ATOMIC_POSITIONS angstrom
Bi 4.955 -3.987 0.682
Bi 6.417 -0.943 3.768
S 4.116 -1.316 1.931
S 7.256 -3.614 2.520
CELL_PARAMETERS angstrom
-0.255 -3.830 1.113
2.514 -1.077 -2.914
9.113 -0.023 6.251
! final energy: -4.00 eV/atom
! energy of formation from the pure elements: -0.24 eV per atom
! total moment: 0.01 μB per formula unit

=====

# 4
! BiS3 | the Materials Project database | GGA-PBE | relaxed; values from VASP
&SYSTEM
  ibrav = 0, nat = 8, ntyp = 2
/
ATOMIC_SPECIES
S 32.06 S.upf
Bi 208.98 Bi.upf
ATOMIC_POSITIONS angstrom
S 5.376 -0.984 2.939
S 3.540 4.163 0.980
S 3.540 -4.163 2.939
S 1.704 -0.984 2.939
S 5.376 0.984 0.980
S 1.704 0.984 0.980
Bi 3.540 2.044 2.939
Bi 3.540 -2.044 0.980
CELL_PARAMETERS angstrom
3.540 -6.131 0.000
3.540 6.131 0.000
0.000 0.000 3.919
! final energy: -3.68 eV/atom
! energy of formation from the pure elements: 0.02 eV per atom
! total moment: 0.00 μB per formula unit

=====

# 5
! BiSbS3 | the Materials Project database | GGA-PBE | relaxed; values from VASP
&SYSTEM
  ibrav = 0, nat = 20, ntyp = 3
/
ATOMIC_SPECIES
S 32.06 S.upf
Sb 121.76 Sb.upf
Bi 208.98 Bi.upf
ATOMIC_POSITIONS angstrom
S 0.992 10.576 4.481
S 2.977 4.197 5.385
S 2.977 7.696 3.533
S 0.992 7.008 6.483
S 0.992 3.509 8.335
S 2.977 9.112 9.466
S 2.977 4.974 1.453
S 0.992 9.800 0.549
S 0.992 2.093 2.401
S 2.977 1.405 11.318
S 2.977 0.629 7.387
S 0.992 6.232 10.414
Sb 0.992 6.031 4.199
Sb 2.977 5.175 7.669
Sb 2.977 0.428 1.735
Sb 0.992 10.778 10.132
Bi 2.977 7.505 11.681
Bi 0.992 1.902 6.120
Bi 2.977 9.303 5.747
Bi 0.992 3.700 0.187
CELL_PARAMETERS angstrom
3.969 0.000 0.000
0.000 11.206 0.000
0.000 0.000 11.868
! final energy: -4.38 eV/atom
! energy of formation from the pure elements: -0.60 eV per atom
! total moment: 0.00 μB per formula unit

=====

# 6
! Bi4Se3S3 | the Materials Project database | GGA-PBE | relaxed; values from VASP
&SYSTEM
  ibrav = 0, nat = 20, ntyp = 3
/
ATOMIC_SPECIES
Bi 208.98 Bi.upf
Se 78.96 Se.upf
S 32.06 S.upf
ATOMIC_POSITIONS angstrom
Bi 0.000 10.514 6.173
Bi 2.055 2.391 7.814
Bi 2.055 9.033 1.886
Bi 2.055 4.737 11.665
Bi 0.000 8.167 9.976
Bi 2.055 6.687 5.737
Bi 0.000 3.256 4.047
Bi 0.000 0.910 0.244
Se 2.055 10.127 11.224
Se 2.055 6.305 9.245
Se 0.000 4.363 6.569
Se 2.055 5.119 3.317
Se 0.000 7.061 0.640
Se 2.055 1.297 5.296
S 2.055 9.200 7.364
S 2.055 2.223 1.435
S 0.000 10.777 2.505
S 0.000 0.647 8.434
S 0.000 7.980 4.536
S 0.000 3.444 10.465
CELL_PARAMETERS angstrom
4.109 0.000 0.000
0.000 11.424 0.000
0.000 0.000 11.857
! final energy: -4.19 eV/atom
! energy of formation from the pure elements: -0.49 eV per atom
! total moment: 0.00 μB per formula unit

=====

# 7
! SmBiS3 | the Materials Project database | GGA-PBE | relaxed; values from VASP
&SYSTEM
  ibrav = 0, nat = 20, ntyp = 3
/
ATOMIC_SPECIES
S 32.06 S.upf
Bi 208.98 Bi.upf
Sm 150.36 Sm.upf
ATOMIC_POSITIONS angstrom
S 3.035 1.477 10.553
S 3.035 7.582 3.024
S 3.035 8.810 8.545
S 1.012 9.451 0.489
S 1.012 6.123 9.767
S 1.012 3.346 8.019
S 1.012 6.941 6.011
S 3.035 3.987 5.032
S 3.035 4.805 1.276
S 3.035 0.659 6.797
S 1.012 10.269 4.246
S 1.012 2.118 2.497
Bi 3.035 5.129 7.451
Bi 1.012 10.593 9.113
Bi 3.035 0.335 1.930
Bi 1.012 5.799 3.592
Sm 3.035 7.356 0.093
Sm 1.012 1.892 5.428
Sm 3.035 9.036 5.614
Sm 1.012 3.572 10.949
CELL_PARAMETERS angstrom
4.046 0.000 0.000
0.000 10.928 0.000
0.000 0.000 11.042
! final energy: -5.40 eV/atom
! energy of formation from the pure elements: -1.49 eV per atom

=====

# 8
! Bi14Te13S8 | the Materials Project database | GGA-PBE | relaxed; values from VASP
&SYSTEM
  ibrav = 0, nat = 35, ntyp = 3
/
ATOMIC_SPECIES
Te 127.60 Te.upf
Bi 208.98 Bi.upf
S 32.06 S.upf
ATOMIC_POSITIONS angstrom
Te 13.762 4.884 3.324
Te 0.000 0.000 0.000
Te 18.063 1.660 0.702
Te 16.408 -4.884 6.036
Te 13.009 1.716 5.885
Te 12.107 -1.660 8.658
Te 16.816 2.388 4.586
Te 13.354 -2.388 4.774
Te 15.556 3.225 8.782
Te 14.235 0.672 1.935
Te 15.936 -0.672 7.425
Te 17.161 -1.716 3.474
Te 14.614 -3.225 0.578
Bi 17.502 -3.144 8.310
Bi 17.918 3.954 6.969
Bi 19.531 -0.810 1.769
Bi 21.904 2.352 6.358
Bi 10.639 0.810 7.591
Bi 12.252 -3.954 2.391
Bi 8.266 -2.352 3.002
Bi 12.668 3.144 1.050
Bi 22.322 -1.537 5.011
Bi 18.376 0.000 5.701
Bi 11.794 0.000 3.659
Bi 7.848 1.537 4.349
Bi 21.115 -0.814 8.901
Bi 9.055 0.814 0.458
S 10.648 -1.584 1.294
S 9.388 -0.869 5.354
S 19.969 -2.454 6.627
S 7.070 0.000 2.193
S 23.100 0.000 7.166
S 10.202 2.454 2.733
S 19.522 1.584 8.065
S 20.782 0.869 4.006
CELL_PARAMETERS angstrom
11.025 -5.658 0.000
11.025 5.658 0.000
8.121 0.000 9.360
! final energy: -3.94 eV/atom
! energy of formation from the pure elements: -0.39 eV per atom
! total moment: 0.00 μB per formula unit

=====

# 9
! Bi4Te3S3 | the Materials Project database | GGA-PBE | relaxed; values from VASP
&SYSTEM
  ibrav = 0, nat = 10, ntyp = 3
/
ATOMIC_SPECIES
S 32.06 S.upf
Te 127.60 Te.upf
Bi 208.98 Bi.upf
ATOMIC_POSITIONS angstrom
S -0.099 -0.021 0.089
S -17.146 -3.611 15.470
S -22.127 -4.660 19.964
Te -39.503 -8.320 35.642
Te -4.718 -0.994 4.256
Te -26.973 -5.681 24.337
Bi -8.649 -1.822 7.803
Bi -35.560 -7.489 32.084
Bi -13.547 -2.853 12.223
Bi -30.923 -6.513 27.900
CELL_PARAMETERS angstrom
-13.961 -1.219 14.642
-16.419 -2.753 11.560
-13.898 -5.353 13.747
! final energy: -4.03 eV/atom
! energy of formation from the pure elements: -0.44 eV per atom
! total moment: 0.00 μB per formula unit

=====

# 10
! TlBiS2 | the Materials Project database | GGA-PBE | relaxed; values from VASP
&SYSTEM
  ibrav = 0, nat = 4, ntyp = 3
/
ATOMIC_SPECIES
S 32.06 S.upf
Tl 204.38 Tl.upf
Bi 208.98 Bi.upf
ATOMIC_POSITIONS angstrom
S -2.646 -0.632 -1.177
S -1.259 2.051 1.729
Tl 0.000 0.000 0.000
Bi -3.905 1.419 0.552
CELL_PARAMETERS angstrom
-2.200 1.412 -3.277
-3.092 -2.676 0.923
-2.519 4.103 3.458
! final energy: -3.84 eV/atom
! energy of formation from the pure elements: -0.46 eV per atom
! total moment: 0.00 μB per formula unit

=====

# 11
! TlBiS2 | the Materials Project database | GGA-PBE | relaxed; values from VASP
&SYSTEM
  ibrav = 0, nat = 8, ntyp = 3
/
ATOMIC_SPECIES
Tl 204.38 Tl.upf
S 32.06 S.upf
Bi 208.98 Bi.upf
ATOMIC_POSITIONS angstrom
Tl 0.000 0.000 0.000
Tl 0.000 2.979 3.073
S 2.979 0.000 5.874
S 0.000 0.000 8.947
S 2.979 0.000 0.273
S 0.000 0.000 3.347
Bi 0.000 0.000 6.147
Bi 2.979 0.000 3.073
CELL_PARAMETERS angstrom
-2.979 2.979 6.147
2.979 -2.979 6.147
2.979 2.979 -6.147
! final energy: -3.92 eV/atom
! energy of formation from the pure elements: -0.54 eV per atom
! total moment: 0.00 μB per formula unit

=====

# 12
! TlBiS2 | the Materials Project database | GGA-PBE | relaxed; values from VASP
&SYSTEM
  ibrav = 0, nat = 4, ntyp = 3
/
ATOMIC_SPECIES
Bi 208.98 Bi.upf
S 32.06 S.upf
Tl 204.38 Tl.upf
ATOMIC_POSITIONS angstrom
Bi 0.000 0.000 0.000
S -6.802 1.682 -6.102
S -2.265 0.322 -1.726
Tl -4.534 1.002 -3.914
CELL_PARAMETERS angstrom
-2.693 -2.505 -1.922
-4.081 0.583 0.477
-2.294 3.926 -6.382
! final energy: -4.04 eV/atom
! energy of formation from the pure elements: -0.67 eV per atom

=====

Q: Look up the energy of formation from the pure elements of the tenth one.
A: -0.46 eV per atom

=====

Q: The lowest final energy belongs to which entry?
A: SmBiS3

=====

Repeat the fourth record exactly.
! BiS3 | the Materials Project database | GGA-PBE | relaxed; values from VASP
&SYSTEM
  ibrav = 0, nat = 8, ntyp = 2
/
ATOMIC_SPECIES
S 32.06 S.upf
Bi 208.98 Bi.upf
ATOMIC_POSITIONS angstrom
S 5.376 -0.984 2.939
S 3.540 4.163 0.980
S 3.540 -4.163 2.939
S 1.704 -0.984 2.939
S 5.376 0.984 0.980
S 1.704 0.984 0.980
Bi 3.540 2.044 2.939
Bi 3.540 -2.044 0.980
CELL_PARAMETERS angstrom
3.540 -6.131 0.000
3.540 6.131 0.000
0.000 0.000 3.919
! final energy: -3.68 eV/atom
! energy of formation from the pure elements: 0.02 eV per atom
! total moment: 0.00 μB per formula unit

=====

Q: Which of these has the lowest energy of formation from the pure elements?
A: SmBiS3